The following is a GGA+U calculation of an optimized crystal structure of LiMn2O3F, from the Materials Project.

```
data_LiMn2O3F
_chemical_formula_sum 'Li8 Mn16 O24 F8'
_space_group_name_H-M_alt 'C 1 c 1'
_space_group_IT_number 9
_space_group_name_Hall 'C -2yc'
_cell_length_a 13.582
_cell_length_b 8.473
_cell_length_c 6.023
_cell_angle_alpha 90.00
_cell_angle_beta 115.94
_cell_angle_gamma 90.00
loop_
_atom_site_label
_atom_site_fract_x
_atom_site_fract_y
_atom_site_fract_z
Li1 0.000 0.115 0.000
Li2 0.258 0.134 0.290
Mn1 0.001 0.490 0.768
Mn2 0.135 0.229 0.663
Mn3 0.252 0.499 0.036
Mn4 0.378 0.260 0.912
O1 0.008 0.245 0.731
O2 0.119 0.489 0.609
O3 0.244 0.274 0.012
O4 0.256 0.264 0.573
O5 0.363 0.489 0.914
O6 0.395 0.025 0.921
F1 0.012 0.249 0.273
F2 0.133 0.006 0.140
```

Values from the calculation:
Energy relative to the lowest polymorph listed for this composition, meV/atom: 48
Size of the total moment, μB per formula unit: 8.00

The following is a GGA+U calculation of an optimized crystal structure of La2NiIrO6, from the Materials Project.

```
data_La2NiIrO6
_chemical_formula_sum 'La8 Ni4 Ir4 O24'
_space_group_name_H-M_alt 'P 1 21 1'
_space_group_IT_number 4
_space_group_name_Hall 'P 2yb'
_cell_length_a 9.666
_cell_length_b 5.780
_cell_length_c 9.700
_cell_angle_alpha 90.00
_cell_angle_beta 110.04
_cell_angle_gamma 90.00
loop_
_atom_site_label
_atom_site_fract_x
_atom_site_fract_y
_atom_site_fract_z
La1 0.131 0.000 0.132
La2 0.131 0.385 0.632
La3 0.368 0.501 0.368
La4 0.368 0.885 0.867
Ni1 0.000 0.443 0.250
Ni2 0.500 0.443 0.750
Ir1 0.251 0.442 0.000
Ir2 0.251 0.943 0.500
O1 0.081 0.418 0.079
O2 0.081 0.967 0.579
O3 0.126 0.643 0.828
O4 0.126 0.742 0.327
O5 0.177 0.150 0.878
O6 0.177 0.235 0.379
O7 0.322 0.649 0.621
O8 0.322 0.737 0.121
O9 0.375 0.143 0.674
O10 0.375 0.243 0.174
O11 0.420 0.917 0.422
O12 0.421 0.468 0.922
```

Values from the calculation:
Size of the total moment, μB per formula unit: 0.99

The following is a GGA+U calculation of an optimized crystal structure of VCrO3, from the Materials Project.

```
data_VCrO3
_chemical_formula_sum 'V6 Cr6 O18'
_space_group_name_H-M_alt 'R 3 c'
_space_group_IT_number 161
_space_group_name_Hall 'R 3 -2"c'
_cell_length_a 5.0939
_cell_length_b 5.0939
_cell_length_c 14.0125
_cell_angle_alpha 90.00
_cell_angle_beta 90.00
_cell_angle_gamma 120.00
loop_
_atom_site_label
_atom_site_fract_x
_atom_site_fract_y
_atom_site_fract_z
V1 0.0000 0.0000 0.0000
Cr1 0.0000 0.0000 0.1987
O1 0.0313 0.3599 0.2679
```

| no. | ΔE_f (eV per formula unit) |
| --- | --- |
| 1 | -15.89 |
| 2 | -25.64 |
| 3 | -12.22 |